Compound: NaAs
Source: the Materials Project
Functional: meta-GGA r2SCAN
Structure: optimized geometry

Cell and atoms, written as CIF:
```
data_NaAs
_chemical_formula_sum 'Na8 As8'
_symmetry_space_group_name_H-M 'P 1'
_symmetry_Int_Tables_number 1
_cell_length_a 6.204
_cell_length_b 5.851
_cell_length_c 11.483
_cell_angle_alpha 90.00
_cell_angle_beta 116.77
_cell_angle_gamma 90.00
loop_
_symmetry_equiv_pos_as_xyz
'x,y,z'
loop_
_atom_site_label
_atom_site_type_symbol
_atom_site_fract_x
_atom_site_fract_y
_atom_site_fract_z
Na1 Na 0.219 0.109 0.330
Na2 Na 0.219 0.391 0.830
Na3 Na 0.235 0.663 0.533
Na4 Na 0.235 0.837 0.033
Na5 Na 0.765 0.163 0.967
Na6 Na 0.765 0.337 0.467
Na7 Na 0.781 0.609 0.170
Na8 Na 0.781 0.891 0.670
As1 As 0.312 0.161 0.618
As2 As 0.312 0.339 0.118
As3 As 0.319 0.606 0.289
As4 As 0.319 0.894 0.789
As5 As 0.681 0.106 0.211
As6 As 0.681 0.394 0.711
As7 As 0.688 0.661 0.882
As8 As 0.688 0.839 0.382
```

## Properties
SG: P2_1/c, No. 14
Polymorph energy (0 for the lowest one): 0 meV per atom
Calculated formation energy: -0.5193 eV/atom